No. 1
Ba2Al5Ag5: relaxed, GGA-PBE.

a = 5.5781 Å, b = 11.1330 Å, c = 8.8091 Å
α = 90.00°, β = 90.00°, γ = 90.00°
With the nearest neighbours (Å) after each atom.
Space group Amm2 (No. 38)
Symmetry-distinct sites (fractional):
Ba  0.0000  0.0000  0.0000  7 Ag 3.44-3.54, 6 Al 3.58-3.84
Ba  0.5000  0.0000  0.3431  9 Al 3.54-3.90, 8 Ag 3.55-3.64
Al  0.2501  0.2052  0.6632  5 Ag 2.66-2.82, 3 Al 2.77-2.79
Al  0.5000  0.0000  0.7446  4 Ag 2.74-3.03, 4 Al 2.77
Ag  0.0000  0.0000  0.6094  6 Al 2.72-3.03, 2 Ag 2.93
Ag  0.0000  0.1981  0.3896  4 Al 2.66-2.79, 1 Ag 2.93
Ag  0.5000  0.1907  0.9405  5 Al 2.67-2.82

Calculated values
**Total energy**: -3.34 eV/atom
**Calculated density**: 5.76 g/cm3

No. 2
Nd2EuBeO5: relaxed, GGA-PBE.

a = 9.6081 Å, b = 6.6091 Å, c = 7.2879 Å
α = 90.00°, β = 90.00°, γ = 90.00°
With the nearest neighbours (Å) after each atom.
Space group Pna2_1 (No. 33)
Symmetry-distinct sites (fractional):
Nd  0.0236  0.0961  0.0000  7 O 2.36-2.55
Nd  0.1729  0.5772  0.7807  7 O 2.48-2.69, 1 Be 2.78
Eu  0.1751  0.5833  0.2347  8 O 2.54-2.76, 1 Be 2.77
Be  0.0992  0.3089  0.5038  4 O 1.61-1.70
O  0.0096  0.5204  0.5046  1 Be 1.64
O  0.0670  0.1890  0.3132  1 Be 1.63
O  0.0665  0.1947  0.6942  1 Be 1.61
O  0.2229  0.8355  0.5035  3 Nd 2.41-2.69, 2 Eu 2.55-2.61
O  0.2284  0.8653  0.0048  1 Be 1.70

Calculated values
**Total energy**: -8.46 eV/atom
**Calculated density**: 7.60 g/cm3

No. 3
Mg5Si9: relaxed, GGA-PBE.

a = 7.5870 Å, b = 7.6399 Å, c = 10.0098 Å
α = 78.81°, β = 88.87°, γ = 60.66°
With the nearest neighbours (Å) after each atom.
Space group P1 (No. 1)
Symmetry-distinct sites (fractional):
Mg  0.0000  0.0000  0.0000  5 Si 2.70-3.00
Mg  0.0403  0.1517  0.5536  7 Si 2.71-3.00
Mg  0.1431  0.8175  0.3135  5 Si 2.70-2.98
Mg  0.2260  0.2209  0.0599  8 Si 2.81-3.08, 1 Mg 3.07
Mg  0.4277  0.7477  0.7175  7 Si 2.74-3.06
Mg  0.5596  0.4596  0.4795  8 Si 2.82-3.14
Mg  0.6410  0.8649  0.9433  6 Si 2.79-3.08, 1 Mg 3.08
Mg  0.6898  0.9716  0.2168  8 Si 2.70-3.00
Mg  0.8230  0.3010  0.2250  3 Si 2.72-2.87
Mg  0.9040  0.5359  0.6791  7 Si 2.73-3.02
Si  0.0264  0.6095  0.1556  3 Si 2.44-2.51
Si  0.1099  0.6454  0.9189  4 Si 2.41-2.59
Si  0.1297  0.7178  0.5898  4 Si 2.55-2.70, 3 Mg 2.73-2.74
Si  0.2253  0.3892  0.4809  5 Si 2.48-2.70
Si  0.2372  0.1324  0.7979  2 Si 2.43-2.56
Si  0.2975  0.0989  0.3460  3 Si 2.41-2.64
Si  0.3298  0.3975  0.7857  5 Si 2.43-2.60
Si  0.3777  0.3755  0.2592  3 Si 2.47-2.48
Si  0.4302  0.6466  0.0011  4 Si 2.43-2.64
Si  0.4909  0.7521  0.2016  2 Si 2.43-2.72, 1 Mg 2.70
Si  0.5204  0.0900  0.6418  6 Si 2.49-2.75
Si  0.5673  0.2852  0.9979  4 Si 2.43-2.58, 1 Mg 2.70
Si  0.6112  0.8430  0.4799  4 Si 2.41-2.56
Si  0.7000  0.2943  0.7584  4 Si 2.46-2.58
Si  0.7947  0.0313  0.4575  3 Si 2.43-2.68, 1 Mg 2.71
Si  0.8053  0.4339  0.9367  3 Si 2.57-2.64, 3 Mg 2.74-2.85
Si  0.8470  0.5640  0.3617  4 Si 2.51-2.72, 2 Mg 2.72-2.81
Si  0.8761  0.9306  0.7441  4 Si 2.41-2.55

Calculated values
**Calculated density**: 2.52 g/cm3
**Energy relative to the lowest polymorph listed for this composition**: 56 meV/atom

No. 4
KTlC4N4: relaxed, GGA-PBE.

a = 7.7919 Å, b = 7.7919 Å, c = 15.4378 Å
α = 90.00°, β = 90.00°, γ = 90.00°
With the nearest neighbours (Å) after each atom.
Space group I4_1/a (No. 88, origin choice 2)
Symmetry-distinct sites (fractional):
K  0.0000  0.2500  0.1250  4 N 2.90
Tl  0.0000  0.2500  0.6250  4 C 2.21
C  0.1308  0.4354  0.7104  1 N 1.17
N  0.1942  0.0321  0.2413  1 C 1.17

Calculated values
**Total energy**: -7.00 eV/atom
**Calculated density**: 2.46 g/cm3

No. 5
Rb2Ti2P3O12: relaxed, GGA-PBE.

a = 10.0863 Å, b = 10.0863 Å, c = 10.0863 Å
α = 90.00°, β = 90.00°, γ = 90.00°
With the nearest neighbours (Å) after each atom.
Space group P2_13 (No. 198)
Symmetry-distinct sites (fractional):
Rb  0.0423  0.0423  0.0423  9 O 2.96-3.20
Rb  0.1797  0.3203  0.6797  12 O 2.92-3.26
Ti  0.1076  0.8924  0.3924  6 O 2.00
Ti  0.1637  0.6637  0.8363  6 O 2.01-2.03
P  0.0209  0.2070  0.3756  4 O 1.55
O  0.0047  0.5599  0.7707  1 P 1.55
O  0.0170  0.0590  0.3343  1 P 1.55
O  0.0474  0.7906  0.2338  1 P 1.55
O  0.1024  0.8356  0.7562  1 P 1.55

Calculated values
**Total energy**: -7.44 eV/atom
**Calculated density**: 3.57 g/cm3

No. 6
FePS3: relaxed, GGA-PBE.

a = 5.8583 Å, b = 7.0856 Å, c = 10.3609 Å
α = 89.98°, β = 89.98°, γ = 73.96°
With the nearest neighbours (Å) after each atom.
Space group P-1 (No. 2)
Symmetry-distinct sites (fractional):
Fe  0.2495  0.0000  0.0738  6 S 2.47-2.56
Fe  0.2485  0.0000  0.4258  6 S 2.47-2.56
P  0.1996  0.1613  0.7502  3 S 2.04-2.05, 1 P 2.20
P  0.3006  0.8388  0.7498  3 S 2.04-2.05, 1 P 2.20
S  0.0060  0.2316  0.5834  1 P 2.05
S  0.0059  0.2315  0.9165  1 P 2.05
S  0.0176  0.2257  0.2501  1 P 2.04
S  0.4823  0.7741  0.2498  1 P 2.04
S  0.4941  0.7688  0.5833  1 P 2.05
S  0.4941  0.7686  0.9165  1 P 2.05

Calculated values
**Calculated density**: 2.94 g/cm3
**Energy relative to the lowest polymorph listed for this composition**: 6 meV/atom

No. 7
CoP3: relaxed, GGA-PBE.

a = 7.7210 Å, b = 7.7210 Å, c = 7.7210 Å
α = 90.00°, β = 90.00°, γ = 90.00°
With the nearest neighbours (Å) after each atom.
Space group Im-3 (No. 204)
Symmetry-distinct sites (fractional):
Co  0.2500  0.2500  0.2500  6 P 2.22
P  0.0000  0.3480  0.1461  2 Co 2.22, 2 P 2.26-2.35

Calculated values
**Total energy**: -6.33 eV/atom
**Calculated density**: 4.38 g/cm3

No. 8
Mg6CuBiO8: relaxed, GGA-PBE.

a = 4.4716 Å, b = 4.4716 Å, c = 8.9827 Å
α = 90.00°, β = 90.00°, γ = 90.00°
With the nearest neighbours (Å) after each atom.
Space group P4/mmm (No. 123)
Symmetry-distinct sites (fractional):
Mg  0.0000  0.0000  0.0000  6 O 2.24-2.26
Mg  0.0000  0.0000  0.5000  6 O 2.23-2.24
Mg  0.0000  0.5000  0.2246  5 O 2.02-2.25
Cu  0.5000  0.5000  0.0000  6 O 2.16-2.24
Bi  0.5000  0.5000  0.5000  6 O 2.24-2.33
O  0.0000  0.0000  0.2515  6 Mg 2.23-2.26
O  0.0000  0.5000  0.0000  4 Mg 2.02-2.24, 2 Cu 2.24
O  0.0000  0.5000  0.5000  2 Bi 2.24, 4 Mg 2.24-2.47
O  0.5000  0.5000  0.2405  1 Cu 2.16, 4 Mg 2.24, 1 Bi 2.33

Calculated values
**Calculated density**: 5.05 g/cm3
**Energy relative to the lowest polymorph listed for this composition**: 48 meV/atom

No. 9
Na3TiN2: relaxed, GGA-PBE.

a = 11.2421 Å, b = 11.2421 Å, c = 11.2421 Å
α = 90.00°, β = 90.00°, γ = 90.00°
With the nearest neighbours (Å) after each atom.
Space group Ia-3 (No. 206)
Symmetry-distinct sites (fractional):
Na  0.0854  0.1616  0.8947  1 N 2.30
Ti  0.1483  0.1483  0.1483  4 N 1.98-2.09
N  0.0000  0.2500  0.1015  2 Ti 2.09, 2 Na 2.30
N  0.2500  0.2500  0.2500  2 Ti 1.98

Calculated values
**Total energy**: -5.02 eV/atom
**Calculated density**: 2.71 g/cm3

No. 10
BaY2ZnO5: relaxed, GGA-PBE.

a = 12.4635 Å, b = 5.7716 Å, c = 7.1714 Å
α = 90.00°, β = 90.00°, γ = 90.00°
With the nearest neighbours (Å) after each atom.
Space group Pnma (No. 62)
Symmetry-distinct sites (fractional):
Ba  0.1015  0.2500  0.0771  7 O 2.74-3.04
Y  0.0744  0.7500  0.3992  7 O 2.32-2.39
Y  0.2081  0.2500  0.6182  7 O 2.31-2.41
Zn  0.1497  0.7500  0.8084  5 O 2.00-2.15
O  0.0661  0.5021  0.6634  1 Zn 2.05
O  0.1001  0.7500  0.0743  1 Zn 2.00
O  0.2248  0.0007  0.3574  1 Zn 2.15, 3 Y 2.37-2.40

Calculated values
**Total energy**: -7.39 eV/atom
**Calculated density**: 5.93 g/cm3

No. 11
Sr2ErRuO6: relaxed, GGA-PBE.

a = 5.7967 Å, b = 5.8477 Å, c = 10.0304 Å
α = 90.00°, β = 124.99°, γ = 90.00°
With the nearest neighbours (Å) after each atom.
Space group P2_1/c (No. 14)
Symmetry-distinct sites (fractional):
Sr  0.2419  0.0343  0.2495  6 O 2.55-2.79
Er  0.5000  0.0000  0.0000  6 O 2.21-2.22
Ru  0.0000  0.0000  0.5000  6 O 1.98-1.99
O  0.1605  0.2281  0.9610  1 Ru 1.99, 1 Er 2.22
O  0.2335  0.7019  0.9629  1 Ru 1.99, 1 Er 2.21
O  0.3072  0.0179  0.7356  1 Ru 1.98, 1 Er 2.21

Calculated values
**Total energy**: -7.16 eV/atom
**Calculated density**: 6.43 g/cm3

No. 12
SrCN2: relaxed, GGA-PBE.

a = 12.5661 Å, b = 4.0015 Å, c = 5.4382 Å
α = 90.00°, β = 90.00°, γ = 90.00°
With the nearest neighbours (Å) after each atom.
Space group Pnma (No. 62)
Symmetry-distinct sites (fractional):
Sr  0.1304  0.2500  0.1139  6 N 2.63-2.70
C  0.1230  0.7500  0.6157  2 N 1.24
N  0.0767  0.7500  0.8167  1 C 1.24
N  0.1725  0.7500  0.4180  1 C 1.24

Calculated values
**Total energy**: -7.75 eV/atom
**Calculated density**: 3.10 g/cm3